A relaxed structure of KLaW2O8. Source: the Materials Project database, functional PBE with a Hubbard U.

Space-group type: C2/m
DFT total energy (eV per cell): -178.75

a = 7.623 Å, b = 7.623 Å, c = 7.672 Å
α = 66.12°, β = 66.12°, γ = 92.97°
Element x y z (fractional)
K (0.691, 0.691, 0.472)
K (0.309, 0.309, 0.528)
La (0.701, 0.299, 0.000)
La (0.299, 0.701, 0.000)
W (0.204, 0.204, 0.058)
W (0.796, 0.796, 0.942)
W (0.840, 0.160, 0.500)
W (0.160, 0.840, 0.500)
O (0.343, 0.094, 0.261)
O (0.657, 0.906, 0.739)
O (0.906, 0.657, 0.739)
O (0.094, 0.343, 0.261)
O (0.693, 0.214, 0.357)
O (0.307, 0.786, 0.643)
O (0.786, 0.307, 0.643)
O (0.214, 0.693, 0.357)
O (0.706, 0.957, 0.063)
O (0.294, 0.043, 0.937)
O (0.043, 0.294, 0.937)
O (0.957, 0.706, 0.063)
O (0.984, 0.984, 0.345)
O (0.016, 0.016, 0.655)
O (0.575, 0.575, 0.109)
O (0.425, 0.425, 0.891)

A relaxed structure of MgCo3P4O14. Source: the Materials Project database, functional PBE with a Hubbard U.

Space-group type: P2_1/c
DFT total energy (eV per cell): -303.50

a = 7.545 Å, b = 7.315 Å, c = 9.580 Å
α = 68.03°, β = 90.00°, γ = 90.00°
Element x y z (fractional)
Mg (0.000, 0.500, 0.000)
Mg (0.500, 0.500, 0.500)
Co (0.129, 0.813, 0.522)
Co (0.629, 0.187, 0.978)
Co (0.871, 0.187, 0.478)
Co (0.371, 0.813, 0.022)
Co (0.000, 0.000, 0.000)
Co (0.500, 0.000, 0.500)
P (0.926, 0.412, 0.705)
P (0.426, 0.588, 0.795)
P (0.074, 0.588, 0.295)
P (0.574, 0.412, 0.205)
P (0.207, 0.131, 0.688)
P (0.707, 0.869, 0.812)
P (0.793, 0.869, 0.312)
P (0.293, 0.131, 0.188)
O (0.383, 0.194, 0.602)
O (0.883, 0.806, 0.898)
O (0.617, 0.806, 0.398)
O (0.117, 0.194, 0.102)
O (0.384, 0.711, 0.625)
O (0.884, 0.289, 0.875)
O (0.616, 0.289, 0.375)
O (0.116, 0.711, 0.125)
O (0.791, 0.385, 0.597)
O (0.291, 0.615, 0.903)
O (0.209, 0.615, 0.403)
O (0.709, 0.385, 0.097)
O (0.115, 0.334, 0.671)
O (0.615, 0.666, 0.829)
O (0.885, 0.666, 0.329)
O (0.385, 0.334, 0.171)
O (0.527, 0.621, 0.190)
O (0.027, 0.379, 0.310)
O (0.473, 0.379, 0.810)
O (0.973, 0.621, 0.690)
O (0.785, 0.983, 0.141)
O (0.285, 0.017, 0.359)
O (0.215, 0.017, 0.859)
O (0.715, 0.983, 0.641)
O (0.414, 0.032, 0.109)
O (0.914, 0.968, 0.391)
O (0.586, 0.968, 0.891)
O (0.086, 0.032, 0.609)

A relaxed structure of Li3V3P8O29. Source: the Materials Project database, functional PBE with a Hubbard U.

Space-group type: P1
Energy above the most stable polymorph in this dataset (eV per atom): 0.0120
DFT total energy (eV per cell): -606.30

a = 9.745 Å, b = 9.769 Å, c = 14.441 Å
α = 90.16°, β = 90.51°, γ = 119.79°
Element x y z (fractional)
Li (0.088, 0.320, 0.449)
Li (0.691, 0.918, 0.935)
Li (0.228, 0.910, 0.452)
Li (0.286, 0.076, 0.047)
Li (0.778, 0.692, 0.051)
Li (0.947, 0.977, 0.512)
V (0.569, 0.006, 0.744)
V (0.438, 0.000, 0.253)
V (0.002, 0.436, 0.245)
V (0.999, 0.564, 0.754)
V (0.435, 0.433, 0.747)
V (0.563, 0.566, 0.259)
P (0.231, 0.316, 0.159)
P (0.084, 0.310, 0.659)
P (0.694, 0.776, 0.661)
P (0.342, 0.672, 0.866)
P (0.330, 0.667, 0.367)
P (0.679, 0.907, 0.158)
P (0.785, 0.087, 0.337)
P (0.087, 0.775, 0.159)
P (0.918, 0.224, 0.840)
P (0.220, 0.908, 0.662)
P (0.319, 0.092, 0.837)
P (0.669, 0.337, 0.633)
P (0.661, 0.333, 0.137)
P (0.307, 0.224, 0.340)
P (0.919, 0.692, 0.340)
P (0.772, 0.682, 0.840)
O (0.212, 0.219, 0.421)
O (0.258, 0.345, 0.668)
O (0.000, 0.220, 0.925)
O (0.087, 0.344, 0.168)
O (0.382, 0.476, 0.182)
O (0.351, 0.531, 0.817)
O (0.541, 0.616, 0.669)
O (0.762, 0.758, 0.929)
O (0.660, 0.740, 0.168)
O (0.187, 0.514, 0.324)
O (0.082, 0.466, 0.673)
O (0.483, 0.673, 0.326)
O (0.345, 0.666, 0.969)
O (0.325, 0.668, 0.470)
O (0.487, 0.826, 0.828)
O (0.095, 0.621, 0.177)
O (0.187, 0.660, 0.823)
O (0.651, 0.910, 0.670)
O (0.799, 0.012, 0.240)
O (0.801, 0.004, 0.418)
O (0.738, 0.976, 0.066)
O (0.519, 0.900, 0.183)
O (0.325, 0.815, 0.326)
O (0.743, 0.083, 0.834)
O (0.380, 0.911, 0.674)
O (0.083, 0.737, 0.672)
O (0.994, 0.200, 0.745)
O (0.013, 0.226, 0.570)
O (0.004, 0.788, 0.423)
O (0.920, 0.262, 0.333)
O (0.621, 0.082, 0.326)
O (0.257, 0.920, 0.164)
O (0.670, 0.186, 0.675)
O (0.478, 0.098, 0.817)
O (0.246, 0.012, 0.925)
O (0.209, 0.980, 0.573)
O (0.205, 0.001, 0.749)
O (0.341, 0.084, 0.339)
O (0.815, 0.338, 0.179)
O (0.912, 0.380, 0.823)
O (0.518, 0.182, 0.182)
O (0.655, 0.328, 0.034)
O (0.671, 0.334, 0.530)
O (0.518, 0.331, 0.675)
O (0.922, 0.536, 0.325)
O (0.814, 0.481, 0.680)
O (0.345, 0.262, 0.829)
O (0.209, 0.203, 0.246)
O (0.239, 0.238, 0.073)
O (0.467, 0.382, 0.329)
O (0.661, 0.480, 0.179)
O (0.622, 0.523, 0.821)
O (0.917, 0.658, 0.837)
O (0.998, 0.768, 0.074)
O (0.001, 0.795, 0.249)
O (0.744, 0.655, 0.333)
O (0.795, 0.800, 0.580)
O (0.793, 0.798, 0.756)

A relaxed structure of LiMnVP2O8F2. Source: the Materials Project database, functional PBE with a Hubbard U.

Space-group type: P1
Energy above the most stable polymorph in this dataset (eV per atom): 0.0000
DFT total energy (eV per cell): -104.68

a = 5.180 Å, b = 5.279 Å, c = 7.382 Å
α = 108.92°, β = 104.57°, γ = 97.02°
Element x y z (fractional)
Li (0.920, 0.564, 0.173)
Mn (0.507, 0.501, 0.504)
V (0.999, 0.998, 0.994)
P (0.441, 0.118, 0.759)
P (0.555, 0.885, 0.242)
O (0.272, 0.135, 0.910)
O (0.362, 0.825, 0.602)
O (0.366, 0.330, 0.666)
O (0.242, 0.801, 0.133)
O (0.747, 0.207, 0.893)
O (0.645, 0.672, 0.335)
O (0.648, 0.182, 0.393)
O (0.720, 0.848, 0.086)
F (0.118, 0.316, 0.246)
F (0.878, 0.691, 0.752)

A relaxed structure of Li4Cr3NiO8. Source: the Materials Project database, functional PBE with a Hubbard U.

Space-group type: P-1
Energy above the most stable polymorph in this dataset (eV per atom): 0.0064
DFT total energy (eV per cell): -205.58

a = 5.110 Å, b = 5.891 Å, c = 10.206 Å
α = 89.83°, β = 99.61°, γ = 107.00°
Element x y z (fractional)
Li (0.001, 0.245, 0.254)
Li (0.996, 0.243, 0.750)
Li (0.000, 0.000, 0.000)
Li (0.000, 0.000, 0.500)
Li (0.004, 0.757, 0.250)
Li (0.999, 0.755, 0.746)
Li (0.000, 0.500, 0.000)
Li (0.000, 0.500, 0.500)
Cr (0.500, 0.124, 0.873)
Cr (0.500, 0.876, 0.127)
Cr (0.501, 0.626, 0.874)
Cr (0.500, 0.629, 0.378)
Cr (0.499, 0.374, 0.126)
Cr (0.500, 0.371, 0.622)
Ni (0.499, 0.125, 0.375)
Ni (0.501, 0.875, 0.625)
O (0.270, 0.065, 0.185)
O (0.267, 0.075, 0.691)
O (0.726, 0.182, 0.061)
O (0.723, 0.186, 0.564)
O (0.274, 0.818, 0.939)
O (0.730, 0.935, 0.815)
O (0.277, 0.814, 0.436)
O (0.733, 0.925, 0.309)
O (0.274, 0.569, 0.191)
O (0.724, 0.681, 0.060)
O (0.279, 0.565, 0.689)
O (0.733, 0.675, 0.557)
O (0.276, 0.319, 0.940)
O (0.726, 0.431, 0.809)
O (0.267, 0.325, 0.443)
O (0.721, 0.435, 0.311)

A relaxed structure of KCu3AgMo4O16. Source: the Materials Project database, functional PBE with a Hubbard U.

Space-group type: P2_1/c
DFT total energy (eV per cell): -623.14

a = 14.753 Å, b = 5.114 Å, c = 20.062 Å
α = 86.44°, β = 90.00°, γ = 90.00°
Element x y z (fractional)
K (0.028, 0.808, 0.099)
K (0.528, 0.192, 0.401)
K (0.472, 0.808, 0.599)
K (0.972, 0.192, 0.901)
Cu (0.294, 0.226, 0.327)
Cu (0.060, 0.291, 0.613)
Cu (0.794, 0.774, 0.173)
Cu (0.325, 0.807, 0.072)
Cu (0.940, 0.709, 0.387)
Cu (0.206, 0.226, 0.827)
Cu (0.825, 0.193, 0.428)
Cu (0.175, 0.807, 0.572)
Cu (0.440, 0.291, 0.113)
Cu (0.706, 0.774, 0.673)
Cu (0.675, 0.193, 0.928)
Cu (0.560, 0.709, 0.887)
Ag (0.138, 0.725, 0.291)
Ag (0.362, 0.725, 0.791)
Ag (0.638, 0.275, 0.209)
Ag (0.862, 0.275, 0.709)
Mo (0.230, 0.279, 0.170)
Mo (0.900, 0.250, 0.271)
Mo (0.584, 0.807, 0.070)
Mo (0.322, 0.677, 0.440)
Mo (0.400, 0.750, 0.229)
Mo (0.600, 0.250, 0.771)
Mo (0.730, 0.721, 0.330)
Mo (0.822, 0.323, 0.060)
Mo (0.678, 0.323, 0.560)
Mo (0.916, 0.807, 0.570)
Mo (0.084, 0.193, 0.430)
Mo (0.100, 0.750, 0.729)
Mo (0.416, 0.193, 0.930)
Mo (0.178, 0.677, 0.940)
Mo (0.770, 0.721, 0.830)
Mo (0.270, 0.279, 0.670)
O (0.811, 0.925, 0.890)
O (0.357, 0.507, 0.682)
O (0.189, 0.075, 0.110)
O (0.835, 0.618, 0.618)
O (0.628, 0.016, 0.848)
O (0.872, 0.016, 0.348)
O (0.016, 0.608, 0.562)
O (0.753, 0.376, 0.490)
O (0.984, 0.392, 0.438)
O (0.128, 0.984, 0.652)
O (0.238, 0.069, 0.249)
O (0.006, 0.554, 0.710)
O (0.812, 0.465, 0.233)
O (0.762, 0.931, 0.751)
O (0.165, 0.382, 0.382)
O (0.576, 0.192, 0.532)
O (0.924, 0.192, 0.032)
O (0.553, 0.098, 0.114)
O (0.268, 0.905, 0.380)
O (0.768, 0.095, 0.120)
O (0.738, 0.931, 0.251)
O (0.311, 0.075, 0.610)
O (0.671, 0.512, 0.867)
O (0.494, 0.554, 0.210)
O (0.644, 0.625, 0.598)
O (0.829, 0.512, 0.367)
O (0.447, 0.902, 0.886)
O (0.372, 0.984, 0.152)
O (0.857, 0.493, 0.818)
O (0.171, 0.488, 0.633)
O (0.076, 0.808, 0.968)
O (0.424, 0.808, 0.468)
O (0.188, 0.535, 0.767)
O (0.856, 0.625, 0.098)
O (0.053, 0.902, 0.386)
O (0.329, 0.488, 0.133)
O (0.253, 0.624, 0.010)
O (0.947, 0.098, 0.614)
O (0.356, 0.375, 0.402)
O (0.732, 0.095, 0.620)
O (0.062, 0.957, 0.789)
O (0.247, 0.624, 0.510)
O (0.747, 0.376, 0.990)
O (0.938, 0.043, 0.211)
O (0.312, 0.535, 0.267)
O (0.144, 0.375, 0.902)
O (0.335, 0.382, 0.882)
O (0.143, 0.507, 0.182)
O (0.665, 0.618, 0.118)
O (0.994, 0.446, 0.290)
O (0.689, 0.925, 0.390)
O (0.688, 0.465, 0.733)
O (0.562, 0.043, 0.711)
O (0.232, 0.905, 0.880)
O (0.516, 0.392, 0.938)
O (0.127, 0.096, 0.513)
O (0.643, 0.493, 0.318)
O (0.438, 0.957, 0.289)
O (0.506, 0.446, 0.790)
O (0.873, 0.904, 0.487)
O (0.262, 0.069, 0.749)
O (0.484, 0.608, 0.062)
O (0.627, 0.904, 0.987)
O (0.373, 0.096, 0.013)

A relaxed structure of V2AgP3O11. Source: the Materials Project database, functional PBE with a Hubbard U.

Space-group type: C2
DFT total energy (eV per cell): -246.46

a = 7.319 Å, b = 7.319 Å, c = 8.902 Å
α = 70.70°, β = 70.70°, γ = 72.87°
Element x y z (fractional)
V (0.885, 0.363, 0.210)
V (0.637, 0.115, 0.790)
V (0.114, 0.636, 0.291)
V (0.364, 0.886, 0.709)
Ag (0.985, 0.516, 0.758)
Ag (0.484, 0.015, 0.242)
P (0.325, 0.453, 0.965)
P (0.547, 0.675, 0.035)
P (0.674, 0.548, 0.535)
P (0.452, 0.326, 0.465)
P (0.958, 0.042, 0.000)
P (0.042, 0.958, 0.500)
O (0.514, 0.486, 0.000)
O (0.486, 0.514, 0.500)
O (0.615, 0.275, 0.316)
O (0.725, 0.385, 0.684)
O (0.385, 0.725, 0.184)
O (0.275, 0.615, 0.816)
O (0.756, 0.615, 0.058)
O (0.385, 0.244, 0.942)
O (0.245, 0.385, 0.440)
O (0.615, 0.755, 0.560)
O (0.952, 0.247, 0.023)
O (0.753, 0.048, 0.977)
O (0.047, 0.753, 0.478)
O (0.247, 0.953, 0.522)
O (0.017, 0.125, 0.345)
O (0.875, 0.983, 0.655)
O (0.984, 0.875, 0.155)
O (0.125, 0.016, 0.845)
O (0.157, 0.468, 0.125)
O (0.532, 0.843, 0.875)
O (0.843, 0.532, 0.375)
O (0.468, 0.157, 0.625)

A relaxed structure of CsMn2P6O18. Source: the Materials Project database, functional PBE with a Hubbard U.

Space-group type: Cm
Energy above the most stable polymorph in this dataset (eV per atom): 0.0018
DFT total energy (eV per cell): -194.93

a = 6.393 Å, b = 8.670 Å, c = 8.670 Å
α = 104.04°, β = 104.24°, γ = 104.24°
Element x y z (fractional)
Cs (0.535, 0.945, 0.945)
Mn (0.002, 0.775, 0.226)
Mn (0.002, 0.226, 0.775)
P (0.099, 0.406, 0.185)
P (0.099, 0.185, 0.406)
P (0.900, 0.593, 0.814)
P (0.900, 0.814, 0.593)
P (0.500, 0.714, 0.285)
P (0.500, 0.285, 0.714)
O (0.102, 0.349, 0.349)
O (0.898, 0.650, 0.650)
O (0.366, 0.518, 0.237)
O (0.366, 0.237, 0.518)
O (0.633, 0.482, 0.762)
O (0.633, 0.762, 0.482)
O (0.952, 0.517, 0.179)
O (0.952, 0.179, 0.517)
O (0.051, 0.486, 0.822)
O (0.051, 0.822, 0.486)
O (0.047, 0.256, 0.036)
O (0.047, 0.036, 0.256)
O (0.948, 0.744, 0.962)
O (0.948, 0.962, 0.744)
O (0.662, 0.735, 0.186)
O (0.662, 0.186, 0.735)
O (0.339, 0.264, 0.815)
O (0.339, 0.815, 0.264)